(1)
! Rb2PH3SO8 (GGA-PBE, optimized geometry); values from VASP
! * space group: No. 2
! * crystal system: triclinic
! * total DFT energy (no corrections): -5.27 eV per atom
! * calculated formation energy: -1.56 eV/atom
&SYSTEM
  ibrav = 0, nat = 30, ntyp = 5
/
ATOMIC_SPECIES
Rb 85.47 Rb.upf
P 30.97 P.upf
H 1.01 H.upf
S 32.06 S.upf
O 16.00 O.upf
CELL_PARAMETERS angstrom
7.761 0.000 0.000
-0.563 8.270 0.000
-3.209 -0.231 8.611
ATOMIC_POSITIONS crystal
Rb 0.226 0.168 0.140
Rb 0.262 0.676 0.393
Rb 0.738 0.324 0.607
Rb 0.774 0.832 0.860
P 0.307 0.716 0.956
P 0.693 0.284 0.044
H 0.000 0.000 0.500
H 0.083 0.999 0.746
H 0.358 0.472 0.716
H 0.500 0.500 0.000
H 0.642 0.528 0.284
H 0.917 0.001 0.254
S 0.258 0.194 0.600
S 0.742 0.806 0.400
O 0.081 0.075 0.826
O 0.118 0.270 0.658
O 0.152 0.040 0.497
O 0.164 0.775 0.010
O 0.279 0.310 0.474
O 0.354 0.542 0.998
O 0.401 0.807 0.863
O 0.446 0.503 0.663
O 0.554 0.497 0.337
O 0.599 0.193 0.137
O 0.646 0.458 0.002
O 0.721 0.690 0.526
O 0.836 0.225 0.990
O 0.848 0.960 0.503
O 0.882 0.730 0.342
O 0.919 0.925 0.174

***

(2)
! RbSrP3H6O12 (GGA-PBE, optimized geometry); values from VASP
! * space group: No. 62
! * crystal system: orthorhombic
! * total DFT energy (no corrections): -6.18 eV per atom
! * calculated formation energy: -2.25 eV/atom
&SYSTEM
  ibrav = 0, nat = 92, ntyp = 5
/
ATOMIC_SPECIES
Rb 85.47 Rb.upf
Sr 87.62 Sr.upf
P 30.97 P.upf
H 1.01 H.upf
O 16.00 O.upf
CELL_PARAMETERS angstrom
9.278 0.000 0.000
0.000 8.262 0.000
0.000 0.000 15.481
ATOMIC_POSITIONS crystal
Rb 0.098 0.250 0.194
Rb 0.402 0.750 0.694
Rb 0.598 0.250 0.306
Rb 0.902 0.750 0.806
Sr 0.094 0.750 0.475
Sr 0.406 0.250 0.975
Sr 0.594 0.750 0.025
Sr 0.906 0.250 0.525
P 0.011 0.250 0.935
P 0.176 0.075 0.806
P 0.176 0.425 0.806
P 0.324 0.575 0.306
P 0.324 0.925 0.306
P 0.489 0.750 0.435
P 0.511 0.250 0.565
P 0.676 0.075 0.694
P 0.676 0.425 0.694
P 0.824 0.575 0.194
P 0.824 0.925 0.194
P 0.989 0.750 0.065
H 0.123 0.012 0.627
H 0.123 0.488 0.627
H 0.132 0.152 0.389
H 0.132 0.348 0.389
H 0.217 0.099 0.556
H 0.217 0.401 0.556
H 0.283 0.599 0.056
H 0.283 0.901 0.056
H 0.368 0.652 0.889
H 0.368 0.848 0.889
H 0.377 0.512 0.127
H 0.377 0.988 0.127
H 0.623 0.012 0.873
H 0.623 0.488 0.873
H 0.632 0.152 0.111
H 0.632 0.348 0.111
H 0.717 0.099 0.944
H 0.717 0.401 0.944
H 0.783 0.599 0.444
H 0.783 0.901 0.444
H 0.868 0.652 0.611
H 0.868 0.848 0.611
H 0.877 0.512 0.373
H 0.877 0.988 0.373
O 0.034 0.097 0.868
O 0.034 0.403 0.868
O 0.071 0.250 0.395
O 0.125 0.038 0.565
O 0.125 0.462 0.565
O 0.129 0.250 0.002
O 0.142 0.548 0.739
O 0.142 0.952 0.739
O 0.144 0.750 0.038
O 0.183 0.250 0.758
O 0.193 0.553 0.362
O 0.193 0.947 0.362
O 0.307 0.053 0.862
O 0.307 0.447 0.862
O 0.317 0.750 0.258
O 0.356 0.250 0.538
O 0.358 0.048 0.239
O 0.358 0.452 0.239
O 0.371 0.750 0.502
O 0.375 0.538 0.065
O 0.375 0.962 0.065
O 0.429 0.750 0.895
O 0.466 0.597 0.368
O 0.466 0.903 0.368
O 0.534 0.097 0.632
O 0.534 0.403 0.632
O 0.571 0.250 0.105
O 0.625 0.038 0.935
O 0.625 0.462 0.935
O 0.629 0.250 0.498
O 0.642 0.548 0.761
O 0.642 0.952 0.761
O 0.644 0.750 0.462
O 0.683 0.250 0.742
O 0.693 0.553 0.138
O 0.693 0.947 0.138
O 0.807 0.053 0.638
O 0.807 0.447 0.638
O 0.817 0.750 0.242
O 0.856 0.250 0.962
O 0.858 0.048 0.261
O 0.858 0.452 0.261
O 0.871 0.750 0.998
O 0.875 0.538 0.435
O 0.875 0.962 0.435
O 0.929 0.750 0.605
O 0.966 0.597 0.132
O 0.966 0.903 0.132

***

(3)
! Rb6Te3P6H26O40 (GGA-PBE, optimized geometry); values from VASP
! * space group: No. 2
! * crystal system: triclinic
! * total DFT energy (no corrections): -5.59 eV per atom
! * calculated formation energy: -1.81 eV/atom
&SYSTEM
  ibrav = 0, nat = 81, ntyp = 5
/
ATOMIC_SPECIES
Rb 85.47 Rb.upf
Te 127.60 Te.upf
P 30.97 P.upf
H 1.01 H.upf
O 16.00 O.upf
CELL_PARAMETERS angstrom
8.166 0.000 0.000
-1.310 11.349 0.000
-3.856 -2.589 10.798
ATOMIC_POSITIONS crystal
Rb 0.022 0.281 0.305
Rb 0.301 0.904 0.299
Rb 0.386 0.306 0.897
Rb 0.614 0.694 0.103
Rb 0.699 0.096 0.701
Rb 0.978 0.719 0.695
Te 0.000 0.000 0.500
Te 0.000 0.500 0.000
Te 0.500 0.000 0.000
P 0.388 0.569 0.728
P 0.481 0.224 0.362
P 0.498 0.637 0.397
P 0.502 0.363 0.603
P 0.519 0.776 0.638
P 0.612 0.431 0.272
H 0.001 0.781 0.009
H 0.004 0.790 0.397
H 0.054 0.093 0.974
H 0.059 0.407 0.628
H 0.143 0.644 0.441
H 0.155 0.606 0.223
H 0.207 0.547 0.893
H 0.217 0.873 0.968
H 0.235 0.399 0.122
H 0.251 0.899 0.593
H 0.276 0.147 0.548
H 0.342 0.001 0.776
H 0.342 0.125 0.115
H 0.658 0.875 0.885
H 0.658 0.999 0.224
H 0.724 0.853 0.452
H 0.749 0.101 0.407
H 0.765 0.601 0.878
H 0.783 0.127 0.032
H 0.793 0.453 0.107
H 0.845 0.394 0.777
H 0.857 0.356 0.559
H 0.941 0.593 0.372
H 0.946 0.907 0.026
H 0.996 0.210 0.603
H 0.999 0.219 0.991
O 0.015 0.133 0.635
O 0.026 0.662 0.437
O 0.051 0.868 0.040
O 0.069 0.628 0.150
O 0.101 0.381 0.091
O 0.160 0.931 0.626
O 0.200 0.084 0.472
O 0.211 0.535 0.741
O 0.225 0.556 0.983
O 0.304 0.590 0.356
O 0.307 0.860 0.929
O 0.322 0.168 0.248
O 0.334 0.103 0.025
O 0.377 0.689 0.672
O 0.394 0.473 0.611
O 0.416 0.318 0.452
O 0.416 0.855 0.564
O 0.437 0.267 0.659
O 0.450 0.415 0.161
O 0.460 0.041 0.839
O 0.540 0.959 0.161
O 0.550 0.585 0.839
O 0.563 0.733 0.341
O 0.584 0.145 0.436
O 0.584 0.682 0.548
O 0.606 0.527 0.389
O 0.623 0.311 0.328
O 0.666 0.897 0.975
O 0.678 0.832 0.752
O 0.693 0.140 0.071
O 0.696 0.410 0.644
O 0.775 0.444 0.017
O 0.789 0.465 0.259
O 0.800 0.916 0.528
O 0.840 0.069 0.374
O 0.899 0.619 0.909
O 0.931 0.372 0.850
O 0.949 0.132 0.960
O 0.974 0.338 0.563
O 0.985 0.867 0.365

***

(4)
! RbTlP2H4O8 (GGA-PBE, optimized geometry); values from VASP
! * space group: No. 4
! * crystal system: monoclinic
! * total DFT energy (no corrections): -5.92 eV per atom
! * calculated formation energy: -2.05 eV/atom
&SYSTEM
  ibrav = 0, nat = 32, ntyp = 5
/
ATOMIC_SPECIES
Rb 85.47 Rb.upf
Tl 204.38 Tl.upf
P 30.97 P.upf
H 1.01 H.upf
O 16.00 O.upf
CELL_PARAMETERS angstrom
6.569 0.000 0.000
0.000 4.607 0.000
-0.460 0.000 14.496
ATOMIC_POSITIONS crystal
Rb 0.239 0.000 0.122
Rb 0.761 0.500 0.878
Tl 0.238 0.488 0.617
Tl 0.762 0.988 0.383
P 0.258 0.513 0.372
P 0.258 0.967 0.872
P 0.742 0.013 0.628
P 0.742 0.467 0.128
H 0.003 0.989 0.751
H 0.258 0.503 0.930
H 0.258 0.975 0.431
H 0.497 0.991 0.751
H 0.503 0.491 0.249
H 0.742 0.003 0.070
H 0.742 0.475 0.569
H 0.997 0.489 0.249
O 0.102 0.836 0.800
O 0.105 0.646 0.299
O 0.166 0.271 0.430
O 0.169 0.212 0.929
O 0.326 0.709 0.938
O 0.327 0.771 0.439
O 0.452 0.398 0.325
O 0.453 0.077 0.824
O 0.547 0.577 0.176
O 0.548 0.898 0.675
O 0.673 0.271 0.561
O 0.674 0.209 0.062
O 0.831 0.712 0.071
O 0.834 0.771 0.570
O 0.895 0.146 0.701
O 0.898 0.336 0.200

***

(5)
! RbUP2H8O11 (GGA-PBE, optimized geometry); values from VASP
! * space group: No. 14
! * crystal system: monoclinic
! * total DFT energy (no corrections): -6.14 eV per atom
! * calculated formation energy: -1.92 eV/atom
&SYSTEM
  ibrav = 0, nat = 92, ntyp = 5
/
ATOMIC_SPECIES
Rb 85.47 Rb.upf
U 238.03 U.upf
P 30.97 P.upf
H 1.01 H.upf
O 16.00 O.upf
CELL_PARAMETERS angstrom
9.107 0.000 0.000
0.000 10.738 0.000
-5.004 0.000 12.705
ATOMIC_POSITIONS crystal
Rb 0.208 0.048 0.321
Rb 0.208 0.452 0.821
Rb 0.792 0.548 0.179
Rb 0.792 0.952 0.679
U 0.454 0.198 0.151
U 0.454 0.302 0.651
U 0.546 0.698 0.349
U 0.546 0.802 0.849
P 0.289 0.523 0.108
P 0.289 0.977 0.608
P 0.456 0.129 0.886
P 0.456 0.371 0.386
P 0.544 0.629 0.614
P 0.544 0.871 0.114
P 0.711 0.023 0.392
P 0.711 0.477 0.892
H 0.021 0.665 0.634
H 0.021 0.835 0.134
H 0.071 0.740 0.814
H 0.071 0.760 0.314
H 0.082 0.145 0.986
H 0.082 0.355 0.486
H 0.093 0.174 0.724
H 0.093 0.326 0.224
H 0.110 0.614 0.446
H 0.110 0.886 0.946
H 0.179 0.514 0.158
H 0.179 0.986 0.658
H 0.211 0.566 0.381
H 0.211 0.934 0.881
H 0.379 0.644 0.582
H 0.379 0.856 0.082
H 0.621 0.144 0.918
H 0.621 0.356 0.418
H 0.789 0.066 0.119
H 0.789 0.434 0.619
H 0.821 0.014 0.342
H 0.821 0.486 0.842
H 0.890 0.114 0.054
H 0.890 0.386 0.554
H 0.907 0.674 0.776
H 0.907 0.826 0.276
H 0.918 0.645 0.514
H 0.918 0.855 0.014
H 0.929 0.240 0.686
H 0.929 0.260 0.186
H 0.979 0.165 0.866
H 0.979 0.335 0.366
O 0.008 0.673 0.766
O 0.008 0.827 0.266
O 0.025 0.663 0.563
O 0.025 0.837 0.063
O 0.111 0.606 0.375
O 0.111 0.894 0.875
O 0.217 0.592 0.003
O 0.217 0.908 0.503
O 0.269 0.114 0.122
O 0.269 0.386 0.622
O 0.329 0.110 0.584
O 0.329 0.390 0.084
O 0.361 0.719 0.816
O 0.361 0.781 0.316
O 0.377 0.198 0.780
O 0.377 0.302 0.280
O 0.402 0.186 0.970
O 0.402 0.314 0.470
O 0.419 0.512 0.373
O 0.419 0.988 0.873
O 0.437 0.590 0.183
O 0.437 0.910 0.683
O 0.563 0.090 0.317
O 0.563 0.410 0.817
O 0.581 0.012 0.127
O 0.581 0.488 0.627
O 0.598 0.686 0.530
O 0.598 0.814 0.030
O 0.623 0.698 0.720
O 0.623 0.802 0.220
O 0.639 0.219 0.684
O 0.639 0.281 0.184
O 0.671 0.610 0.916
O 0.671 0.890 0.416
O 0.731 0.614 0.378
O 0.731 0.886 0.878
O 0.783 0.092 0.497
O 0.783 0.408 0.997
O 0.889 0.106 0.125
O 0.889 0.394 0.625
O 0.975 0.163 0.937
O 0.975 0.337 0.437
O 0.992 0.173 0.734
O 0.992 0.327 0.234

***

(6)
! Rb2U3P4H4O19 (GGA-PBE, optimized geometry); values from VASP
! * space group: No. 9
! * crystal system: monoclinic
! * total DFT energy (no corrections): -7.43 eV per atom
! * calculated formation energy: -2.68 eV/atom
&SYSTEM
  ibrav = 0, nat = 64, ntyp = 5
/
ATOMIC_SPECIES
Rb 85.47 Rb.upf
U 238.03 U.upf
P 30.97 P.upf
H 1.01 H.upf
O 16.00 O.upf
CELL_PARAMETERS angstrom
8.244 -5.270 0.000
8.244 5.270 0.000
-1.435 0.000 11.229
ATOMIC_POSITIONS crystal
Rb 0.220 0.780 0.500
Rb 0.305 0.746 0.859
Rb 0.746 0.305 0.359
Rb 0.780 0.220 0.000
U 0.000 0.189 0.690
U 0.189 0.000 0.190
U 0.334 0.526 0.171
U 0.526 0.334 0.671
U 0.729 0.793 0.930
U 0.793 0.729 0.430
P 0.009 0.427 0.212
P 0.098 0.516 0.649
P 0.427 0.009 0.712
P 0.516 0.098 0.149
P 0.565 0.668 0.147
P 0.668 0.565 0.647
P 0.861 0.956 0.712
P 0.956 0.861 0.212
H 0.042 0.609 0.752
H 0.195 0.316 0.460
H 0.210 0.330 0.399
H 0.316 0.195 0.960
H 0.330 0.210 0.899
H 0.484 0.916 0.609
H 0.609 0.042 0.252
H 0.916 0.484 0.109
O 0.011 0.606 0.539
O 0.028 0.932 0.717
O 0.039 0.260 0.208
O 0.069 0.375 0.653
O 0.131 0.773 0.216
O 0.134 0.992 0.032
O 0.150 0.456 0.209
O 0.245 0.993 0.348
O 0.260 0.039 0.708
O 0.266 0.485 0.652
O 0.277 0.536 0.014
O 0.375 0.069 0.153
O 0.389 0.752 0.153
O 0.391 0.532 0.330
O 0.456 0.150 0.709
O 0.485 0.266 0.152
O 0.500 0.592 0.643
O 0.514 0.918 0.822
O 0.532 0.391 0.830
O 0.536 0.277 0.514
O 0.592 0.500 0.143
O 0.602 0.706 0.025
O 0.606 0.011 0.039
O 0.611 0.892 0.437
O 0.652 0.717 0.249
O 0.706 0.602 0.525
O 0.717 0.652 0.749
O 0.752 0.389 0.653
O 0.773 0.131 0.716
O 0.812 0.879 0.602
O 0.830 0.900 0.828
O 0.879 0.812 0.102
O 0.892 0.611 0.937
O 0.900 0.830 0.328
O 0.918 0.514 0.322
O 0.932 0.028 0.217
O 0.992 0.134 0.532
O 0.993 0.245 0.848